(1)
First-principles (PBE) data for a relaxed structure of Cs2Se, as listed in the Materials Project database.

ΔE_f = -1.205 eV/atom
SG = Fm-3m (225)
excess energy over the best structure of this formula in the dataset = 0 meV per atom
VASP energy = -2.81 eV per atom
MP2020-corrected energy = -2.968 eV/atom

Structure (POSCAR):
```
Cs2Se
1.0
0.000 4.253 4.253
4.253 0.000 4.253
4.253 4.253 0.000
Cs Se
2 1
Cartesian
2.127 2.127 2.127
6.380 6.380 6.380
0.000 0.000 0.000
```

(2)
First-principles (PBE) data for a relaxed structure of Hg6S4IBr3, as listed in the Materials Project database.

ΔE_f = -0.436 eV/atom
SG = Pbam (55)
VASP energy = -1.95 eV per atom
magnetic moment = 0.00 μB/f.u.
MP2020-corrected energy = -2.208 eV/atom

Structure (POSCAR):
```
Hg6S4IBr3
1.0
12.752 0.000 0.000
0.000 14.445 0.000
0.000 0.000 4.744
Hg S I Br
12 8 2 6
Cartesian
0.261 2.840 0.000
1.629 9.144 2.372
2.114 5.726 2.372
4.262 12.949 2.372
4.747 1.921 2.372
6.115 10.063 0.000
6.637 4.383 0.000
8.005 12.524 2.372
8.490 1.497 2.372
10.637 8.719 2.372
11.123 5.302 2.372
12.491 11.605 0.000
0.422 3.913 2.372
2.898 0.441 2.372
3.478 7.663 2.372
5.954 11.135 2.372
6.798 3.310 2.372
9.274 6.782 2.372
9.854 14.005 2.372
12.330 10.533 2.372
0.000 0.000 0.000
6.376 7.223 0.000
0.000 7.223 0.000
2.767 11.138 0.000
3.609 3.916 0.000
6.376 0.000 0.000
9.143 10.530 0.000
9.985 3.307 0.000
```

Please write out number 2 again, unchanged.
First-principles (PBE) data for a relaxed structure of Hg6S4IBr3, as listed in the Materials Project database.

ΔE_f = -0.436 eV/atom
SG = Pbam (55)
VASP energy = -1.95 eV per atom
magnetic moment = 0.00 μB/f.u.
MP2020-corrected energy = -2.208 eV/atom

Structure (POSCAR):
```
Hg6S4IBr3
1.0
12.752 0.000 0.000
0.000 14.445 0.000
0.000 0.000 4.744
Hg S I Br
12 8 2 6
Cartesian
0.261 2.840 0.000
1.629 9.144 2.372
2.114 5.726 2.372
4.262 12.949 2.372
4.747 1.921 2.372
6.115 10.063 0.000
6.637 4.383 0.000
8.005 12.524 2.372
8.490 1.497 2.372
10.637 8.719 2.372
11.123 5.302 2.372
12.491 11.605 0.000
0.422 3.913 2.372
2.898 0.441 2.372
3.478 7.663 2.372
5.954 11.135 2.372
6.798 3.310 2.372
9.274 6.782 2.372
9.854 14.005 2.372
12.330 10.533 2.372
0.000 0.000 0.000
6.376 7.223 0.000
0.000 7.223 0.000
2.767 11.138 0.000
3.609 3.916 0.000
6.376 0.000 0.000
9.143 10.530 0.000
9.985 3.307 0.000
```

What is the ΔE_f in the first record? -1.205 eV/atom